# Li5VP3O12

A relaxed structure of Li5VP3O12 (GGA+U, Materials Project).

CIF file:
```
data_Li5VP3O12
_symmetry_space_group_name_H-M 'P 1'
_symmetry_Int_Tables_number 1
_symmetry_space_group_name_Hall 'P 1'
_cell_length_a 8.5115
_cell_length_b 8.5655
_cell_length_c 8.5842
_cell_angle_alpha 62.67
_cell_angle_beta 62.23
_cell_angle_gamma 62.66
loop_
_atom_site_label
_atom_site_fract_x
_atom_site_fract_y
_atom_site_fract_z
Li1 0.0000 0.0000 0.0000
Li2 0.0129 0.1604 0.5817
Li3 0.0908 0.6905 0.3900
Li4 0.1803 0.5844 0.0071
Li5 0.1970 0.1762 0.1866
Li6 0.3474 0.3237 0.3138
Li7 0.3999 0.0943 0.6926
Li8 0.5948 0.0080 0.1707
Li9 0.8021 0.4918 0.0943
Li10 0.8625 0.8622 0.8451
V1 0.4948 0.4782 0.4902
V2 0.6994 0.6991 0.7039
P1 0.0977 0.3959 0.7898
P2 0.3150 0.8783 0.5891
P3 0.4070 0.7825 0.1018
P4 0.6017 0.2992 0.8759
P5 0.7920 0.0874 0.4011
P6 0.8891 0.5909 0.3018
O1 0.0865 0.4532 0.2960
O2 0.0882 0.2167 0.8009
O3 0.1184 0.3826 0.9643
O4 0.1222 0.8737 0.7319
O5 0.2294 0.8046 0.0786
O6 0.2519 0.4446 0.5947
O7 0.3076 0.0693 0.4420
O8 0.3976 0.9453 0.1379
O9 0.4025 0.7204 0.5034
O10 0.4403 0.5894 0.2590
O11 0.4492 0.8423 0.6884
O12 0.4555 0.2948 0.0681
O13 0.5072 0.3486 0.7346
O14 0.5918 0.2395 0.4465
O15 0.5988 0.7422 0.9404
O16 0.6789 0.4618 0.8057
O17 0.7497 0.4898 0.3552
O18 0.7587 0.1151 0.8763
O19 0.7649 0.9225 0.5911
O20 0.8116 0.0488 0.2359
O21 0.8284 0.6829 0.4485
O22 0.8902 0.7329 0.1087
O23 0.9305 0.5782 0.7624
O24 0.9546 0.1334 0.3808
```

Total energy after the MP2020 corrections = -7.109 eV/atom
ρ = 2.633 g cm⁻³
Calculated formation energy = -2.622 eV/atom
Uncorrected energy = -278.710 eV for the cell shown
Magnetization = 0.048 μB/atom